Version w
Sr2YMgTlCu2O7 | the Materials Project | PBE-GGA | optimized geometry; space group = P4mm
1.0
3.861 0.000 0.000
0.000 3.861 0.000
0.000 0.000 15.441
Sr Y Mg Tl Cu O
2 1 1 1 2 7
Direct
0.000 0.000 0.000
0.000 0.000 0.312
0.000 0.000 0.765
0.000 0.000 0.574
0.500 0.500 0.160
0.500 0.500 0.633
0.500 0.500 0.866
0.000 0.000 0.159
0.000 0.500 0.625
0.000 0.500 0.837
0.500 0.000 0.625
0.500 0.000 0.837
0.500 0.500 0.004
0.500 0.500 0.318

=====

Version x
Sr2YMgTlCu2O7 | the Materials Project | PBE-GGA | optimized geometry; space group = Pmm2
1.0
3.739 0.000 0.000
0.000 3.832 0.000
0.000 0.000 14.497
Sr Y Mg Tl Cu O
2 1 1 1 2 7
Direct
0.000 0.000 0.000
0.000 0.000 0.484
0.000 0.000 0.243
0.000 0.500 0.637
0.500 0.500 0.796
0.500 0.500 0.123
0.500 0.500 0.364
0.000 0.000 0.675
0.000 0.500 0.143
0.000 0.500 0.345
0.500 0.000 0.138
0.500 0.000 0.345
0.500 0.500 0.538
0.500 0.500 0.959

=====

Version y
Sr2YMgTlCu2O7 | the Materials Project | PBE-GGA | optimized geometry; space group = Amm2
1.0
11.951 0.000 0.000
0.000 2.894 3.113
0.000 -2.894 3.113
Sr Y Mg Tl Cu O
2 1 1 1 2 7
Direct
0.209 0.000 0.000
0.791 0.000 0.000
0.500 0.771 0.771
0.500 0.229 0.229
0.000 0.542 0.542
0.299 0.505 0.505
0.701 0.505 0.505
0.000 0.893 0.893
0.160 0.373 0.373
0.392 0.330 0.857
0.392 0.857 0.330
0.608 0.330 0.857
0.608 0.857 0.330
0.840 0.373 0.373

=====

Stability, highest: version x

=====

Version w
MgCu3Te2O10 | the Materials Project | PBE-GGA | optimized geometry; space group = P-1
1.0
5.342 0.000 0.000
-1.617 5.746 0.000
-1.474 -2.461 7.055
Mg Cu Te O
1 3 2 10
Direct
0.000 0.000 0.000
0.196 0.376 0.409
0.500 0.000 0.500
0.804 0.624 0.591
0.385 0.796 0.795
0.615 0.204 0.205
0.038 0.678 0.838
0.178 0.808 0.558
0.300 0.020 0.265
0.374 0.145 0.955
0.433 0.490 0.668
0.567 0.510 0.332
0.626 0.855 0.045
0.700 0.980 0.735
0.822 0.192 0.442
0.962 0.322 0.162

=====

Version x
MgCu3Te2O10 | the Materials Project | PBE-GGA | optimized geometry; space group = P1
1.0
5.229 0.000 0.000
-1.656 5.440 0.000
-1.369 -2.680 7.276
Mg Cu Te O
1 3 2 10
Direct
0.000 0.000 0.000
0.150 0.045 0.467
0.461 0.690 0.577
0.757 0.296 0.671
0.345 0.492 0.871
0.555 0.874 0.275
0.127 0.514 0.655
0.254 0.683 0.353
0.315 0.844 0.036
0.398 0.176 0.734
0.512 0.199 0.412
0.557 0.529 0.110
0.663 0.707 0.813
0.786 0.868 0.499
0.906 0.046 0.240
0.999 0.287 0.896

=====

Stability, highest: version x

=====

Version w
MgCu2Te2O8 | the Materials Project | PBE-GGA | optimized geometry; space group = P-1
1.0
5.537 0.000 0.000
-0.402 6.261 0.000
-2.212 -3.209 5.163
Mg Cu Te O
1 2 2 8
Direct
0.000 0.000 0.000
0.000 0.500 0.000
0.500 0.500 0.000
0.000 0.000 0.500
0.000 0.500 0.500
0.191 0.239 0.914
0.195 0.239 0.410
0.205 0.664 0.885
0.236 0.736 0.492
0.764 0.264 0.508
0.795 0.336 0.115
0.805 0.761 0.590
0.809 0.761 0.086

=====

Version x
MgCu2Te2O8 | the Materials Project | PBE-GGA | optimized geometry; space group = P-1
1.0
5.594 0.000 0.000
-0.006 6.227 0.000
-2.479 -3.115 5.113
Mg Cu Te O
1 2 2 8
Direct
0.000 0.000 0.000
0.000 0.500 0.000
0.500 0.500 0.000
0.000 0.000 0.500
0.000 0.500 0.500
0.188 0.213 0.890
0.188 0.677 0.890
0.208 0.220 0.439
0.230 0.748 0.496
0.770 0.252 0.504
0.792 0.780 0.561
0.812 0.323 0.110
0.812 0.787 0.110

=====

Version y
MgCu2Te2O8 | the Materials Project | PBE-GGA | optimized geometry; space group = Cm
1.0
5.643 -2.900 0.000
5.643 2.900 0.000
-3.452 0.000 5.486
Mg Cu Te O
1 2 2 8
Direct
0.000 0.000 0.000
0.163 0.664 0.449
0.664 0.163 0.449
0.663 0.663 0.941
0.665 0.665 0.469
0.398 0.888 0.120
0.452 0.452 0.296
0.458 0.458 0.699
0.465 0.909 0.724
0.872 0.872 0.173
0.888 0.398 0.120
0.898 0.898 0.636
0.909 0.465 0.724

=====

Stability, highest: version y